[1]
This record from Materials Project describes a relaxed NaTa3 crystal. The functional is GGA-PBE.

```
data_NaTa3
_chemical_formula_sum 'Na4 Ta12'
_cell_length_a 6.688
_cell_length_b 6.688
_cell_length_c 6.688
_cell_angle_alpha 90.00
_cell_angle_beta 90.00
_cell_angle_gamma 90.00
_space_group_name_H-M_alt 'F m -3 m'
_space_group_IT_number 225
_space_group_name_Hall '-F 4 2 3'
loop_
_atom_site_label
_atom_site_fract_x
_atom_site_fract_y
_atom_site_fract_z
Na1 0.000 0.000 0.000
Ta1 0.000 0.000 0.500
Ta2 0.250 0.250 0.250
```

Properties
Its energy is -134.8 eV/cell. For the formation energy, the calculation gives 0.801 eV/atom.

---

[2]
This record from Materials Project describes a relaxed SmP2H16C6NO13 crystal. The functional is GGA-PBE.

```
data_SmP2H16C6NO13
_chemical_formula_sum 'Sm4 P8 H64 C24 N4 O52'
_cell_length_a 13.030
_cell_length_b 8.980
_cell_length_c 14.831
_cell_angle_alpha 90.00
_cell_angle_beta 113.37
_cell_angle_gamma 90.00
_space_group_name_H-M_alt 'P 1 21/c 1'
_space_group_IT_number 14
_space_group_name_Hall '-P 2ybc'
loop_
_atom_site_label
_atom_site_fract_x
_atom_site_fract_y
_atom_site_fract_z
Sm1 0.090 0.248 0.166
P1 0.170 0.606 0.808
P2 0.378 0.106 0.714
H1 0.114 0.061 0.845
H2 0.175 0.716 0.659
H3 0.220 0.576 0.265
H4 0.225 0.656 0.435
H5 0.228 0.149 0.883
H6 0.269 0.125 0.031
H7 0.296 0.622 0.138
H8 0.305 0.629 0.735
H9 0.358 0.720 0.520
H10 0.359 0.246 0.042
H11 0.384 0.071 0.406
H12 0.389 0.545 0.407
H13 0.426 0.658 0.238
H14 0.432 0.728 0.389
H15 0.449 0.242 0.852
H16 0.494 0.027 0.391
C1 0.035 0.559 0.038
C2 0.052 0.011 0.988
C3 0.236 0.699 0.735
C4 0.300 0.721 0.443
C5 0.348 0.594 0.215
C6 0.360 0.658 0.383
N1 0.285 0.650 0.275
O1 0.034 0.690 0.007
O2 0.046 0.539 0.406
O3 0.067 0.690 0.799
O4 0.087 0.514 0.125
O5 0.135 0.078 0.052
O6 0.164 0.058 0.285
O7 0.168 0.109 0.821
O8 0.267 0.624 0.917
O9 0.272 0.197 0.685
O10 0.321 0.159 0.002
O11 0.437 0.114 0.643
O12 0.453 0.112 0.406
O13 0.461 0.141 0.824
```

Properties
Its energy is -960.0 eV/cell. For the formation energy, the calculation gives -1.309 eV/atom.

---

[3]
This record from Materials Project describes a relaxed CeS2 crystal. The functional is GGA-PBE.

```
data_CeS2
_chemical_formula_sum 'Ce8 S16'
_cell_length_a 7.987
_cell_length_b 16.093
_cell_length_c 4.057
_cell_angle_alpha 90.00
_cell_angle_beta 90.00
_cell_angle_gamma 90.00
_space_group_name_H-M_alt 'P n m a'
_space_group_IT_number 62
_space_group_name_Hall '-P 2ac 2n'
loop_
_atom_site_label
_atom_site_fract_x
_atom_site_fract_y
_atom_site_fract_z
Ce1 0.129 0.111 0.224
S1 0.101 0.250 0.670
S2 0.110 0.750 0.647
S3 0.122 0.568 0.240
```

Properties
Its energy is -154.6 eV/cell. For the formation energy, the calculation gives -2.042 eV/atom.

---

[4]
This record from Materials Project describes a relaxed GdBPd3 crystal. The functional is GGA-PBE.

```
data_GdBPd3
_chemical_formula_sum 'Gd1 B1 Pd3'
_cell_length_a 4.306
_cell_length_b 4.306
_cell_length_c 4.306
_cell_angle_alpha 90.00
_cell_angle_beta 90.00
_cell_angle_gamma 90.00
_space_group_name_H-M_alt 'P m -3 m'
_space_group_IT_number 221
_space_group_name_Hall '-P 4 2 3'
loop_
_atom_site_label
_atom_site_fract_x
_atom_site_fract_y
_atom_site_fract_z
Gd1 0.000 0.000 0.000
B1 0.500 0.500 0.500
Pd1 0.000 0.500 0.500
```

Properties
Its energy is -39.3 eV/cell. For the formation energy, the calculation gives -0.599 eV/atom.

---

[5]
This record from Materials Project describes a relaxed EuGe2Au2 crystal. The functional is GGA-PBE.

```
data_EuGe2Au2
_chemical_formula_sum 'Eu2 Ge4 Au4'
_cell_length_a 4.525
_cell_length_b 4.525
_cell_length_c 10.496
_cell_angle_alpha 90.00
_cell_angle_beta 90.00
_cell_angle_gamma 90.00
_space_group_name_H-M_alt 'I 4/m m m'
_space_group_IT_number 139
_space_group_name_Hall '-I 4 2'
loop_
_atom_site_label
_atom_site_fract_x
_atom_site_fract_y
_atom_site_fract_z
Eu1 0.000 0.000 0.000
Ge1 0.000 0.000 0.381
Au1 0.000 0.500 0.250
```

Properties
Its energy is -57.2 eV/cell. For the formation energy, the calculation gives -0.510 eV/atom.

---

[6]
This record from Materials Project describes a relaxed DyCo5P3 crystal. The functional is GGA-PBE.

```
data_DyCo5P3
_chemical_formula_sum 'Dy4 Co20 P12'
_cell_length_a 11.719
_cell_length_b 3.644
_cell_length_c 10.257
_cell_angle_alpha 90.00
_cell_angle_beta 90.00
_cell_angle_gamma 90.00
_space_group_name_H-M_alt 'P n m a'
_space_group_IT_number 62
_space_group_name_Hall '-P 2ac 2n'
loop_
_atom_site_label
_atom_site_fract_x
_atom_site_fract_y
_atom_site_fract_z
Dy1 0.204 0.250 0.083
Co1 0.011 0.750 0.715
Co2 0.012 0.750 0.093
Co3 0.068 0.750 0.467
Co4 0.176 0.250 0.780
Co5 0.198 0.250 0.382
P1 0.109 0.750 0.899
P2 0.112 0.250 0.582
P3 0.131 0.750 0.271
```

Properties
Its energy is -255.9 eV/cell. For the formation energy, the calculation gives -0.844 eV/atom.

---

[7]
This record from Materials Project describes a relaxed CdCu2SiS4 crystal. The functional is GGA-PBE.

```
data_CdCu2SiS4
_chemical_formula_sum 'Cd2 Cu4 Si2 S8'
_cell_length_a 7.661
_cell_length_b 6.495
_cell_length_c 6.284
_cell_angle_alpha 90.00
_cell_angle_beta 90.00
_cell_angle_gamma 90.00
_space_group_name_H-M_alt 'P m n 21'
_space_group_IT_number 31
_space_group_name_Hall 'P 2ac -2'
loop_
_atom_site_label
_atom_site_fract_x
_atom_site_fract_y
_atom_site_fract_z
Cd1 0.000 0.151 0.000
Cu1 0.248 0.324 0.503
Si1 0.000 0.819 0.496
S1 0.000 0.141 0.408
S2 0.000 0.790 0.839
S3 0.224 0.659 0.369
```

Properties
Its energy is -70.3 eV/cell. For the formation energy, the calculation gives -0.761 eV/atom. For the largest piezoelectric modulus, the calculation gives 1.13 C/m2.

---

[8]
This record from Materials Project describes a relaxed TmInCo4 crystal. The functional is GGA-PBE.

```
data_TmInCo4
_chemical_formula_sum 'Tm4 In4 Co16'
_cell_length_a 7.010
_cell_length_b 7.010
_cell_length_c 7.010
_cell_angle_alpha 90.00
_cell_angle_beta 90.00
_cell_angle_gamma 90.00
_space_group_name_H-M_alt 'F -4 3 m'
_space_group_IT_number 216
_space_group_name_Hall 'F -4 2 3'
loop_
_atom_site_label
_atom_site_fract_x
_atom_site_fract_y
_atom_site_fract_z
Tm1 0.000 0.000 0.000
In1 0.250 0.250 0.750
Co1 0.125 0.125 0.375
```

Properties
Its energy is -146.6 eV/cell. For the formation energy, the calculation gives -0.166 eV/atom.

---

What is the formula in the sixth record? DyCo5P3

---

The lowest energy belongs to which entry? SmP2H16C6NO13